Density functional theory data (PBE) for a geometry-optimized Eu2TlHg structure.

E: -6.30 eV/atom

abc: 7.9024 7.9024 7.9024
angles: 90.00 90.00 90.00
Closest atoms and distances in Å follow each position.
Space group Fm-3m (No. 225)
Unique sites:
1 Eu 0.2500 0.2500 0.2500 (multiplicity 8)  4 Hg 3.42, 4 Tl 3.42
2 Tl 0.0000 0.0000 0.0000 (multiplicity 4)  8 Eu 3.42
3 Hg 0.0000 0.0000 0.5000 (multiplicity 4)  8 Eu 3.42